# 1
VASP calculation (r²SCAN) on an optimized crystal structure of RbNb6S8.

a b c (Å): 9.7900 9.7900 3.4094
angles (deg): 90.00 90.00 120.00
Space group P-3 (No. 147)
One atom of each set of equivalent atoms:
Rb (0.0000, 0.0000, 0.0000) x1
Nb (0.1090, 0.4863, 0.2491) x6
S (0.0592, 0.7111, 0.2525) x6
S (0.3333, 0.6667, 0.7492) x2

Formation enthalpy at 0 K (meV per atom): -1299

=====

# 2
VASP calculation (r²SCAN) on an optimized crystal structure of Rb3Nb2S11.

a b c (Å): 11.9247 8.0779 19.4705
angles (deg): 90.00 104.14 90.00
Space group P2_1/c (No. 14)
One atom of each set of equivalent atoms:
Rb (0.0012, 0.1684, 0.1586) x4
Rb (0.2322, 0.6867, 0.1125) x4
Rb (0.4576, 0.6555, 0.3574) x4
Nb (0.1974, 0.2293, 0.9934) x4
Nb (0.2887, 0.1398, 0.3352) x4
S (0.0031, 0.6238, 0.5147) x4
S (0.0828, 0.0150, 0.4515) x4
S (0.1045, 0.2257, 0.8372) x4
S (0.2008, 0.1053, 0.7769) x4
S (0.2315, 0.5731, 0.7619) x4
S (0.2520, 0.5545, 0.4693) x4
S (0.2542, 0.0004, 0.4475) x4
S (0.2595, 0.2348, 0.6099) x4
S (0.3697, 0.1274, 0.9588) x4
S (0.4774, 0.2235, 0.3141) x4
S (0.4870, 0.0720, 0.4013) x4

Formation enthalpy at 0 K (meV per atom): -975

=====

# 3
VASP calculation (r²SCAN) on an optimized crystal structure of Ta2NbRe.

a b c (Å): 6.4782 6.4782 6.4782
angles (deg): 90.00 90.00 90.00
Space group Fm-3m (No. 225)
One atom of each set of equivalent atoms:
Ta (0.2500, 0.2500, 0.2500) x8
Nb (0.0000, 0.0000, 0.0000) x4
Re (0.0000, 0.0000, 0.5000) x4

Formation enthalpy at 0 K (meV per atom): -274

=====

# 4
VASP calculation (r²SCAN) on an optimized crystal structure of TaNbRe2.

a b c (Å): 6.3970 6.3970 6.3970
angles (deg): 90.00 90.00 90.00
Space group Fm-3m (No. 225)
One atom of each set of equivalent atoms:
Ta (0.0000, 0.0000, 0.0000) x4
Nb (0.0000, 0.0000, 0.5000) x4
Re (0.2500, 0.2500, 0.2500) x8

Formation enthalpy at 0 K (meV per atom): -421

=====

# 5
VASP calculation (r²SCAN) on an optimized crystal structure of Nb6RuRh.

a b c (Å): 5.1675 5.1675 5.1675
angles (deg): 90.00 90.00 90.00
Space group Pm-3 (No. 200)
One atom of each set of equivalent atoms:
Nb (0.0000, 0.2510, 0.5000) x6
Ru (0.5000, 0.5000, 0.5000) x1
Rh (0.0000, 0.0000, 0.0000) x1

Formation enthalpy at 0 K (meV per atom): -256

=====

# 6
VASP calculation (r²SCAN) on an optimized crystal structure of Ta2NbRu.

a b c (Å): 6.4389 6.4389 6.4389
angles (deg): 90.00 90.00 90.00
Space group Fm-3m (No. 225)
One atom of each set of equivalent atoms:
Ta (0.2500, 0.2500, 0.2500) x8
Nb (0.0000, 0.0000, 0.0000) x4
Ru (0.0000, 0.0000, 0.5000) x4

Formation enthalpy at 0 K (meV per atom): -283

=====

# 7
VASP calculation (r²SCAN) on an optimized crystal structure of YbNbRu2.

a b c (Å): 6.4689 6.4689 6.4689
angles (deg): 90.00 90.00 90.00
Space group Fm-3m (No. 225)
One atom of each set of equivalent atoms:
Yb (0.0000, 0.0000, 0.0000) x4
Nb (0.0000, 0.0000, 0.5000) x4
Ru (0.2500, 0.2500, 0.2500) x8

Formation enthalpy at 0 K (meV per atom): -478

=====

# 8
VASP calculation (r²SCAN) on an optimized crystal structure of Nb3S5.

a b c (Å): 5.8614 7.1702 7.9435
angles (deg): 107.93 97.20 105.72
Space group P1 (No. 1)
One atom of each set of equivalent atoms:
Nb (0.0000, 0.0000, 0.0000) x1
Nb (0.0753, 0.3155, 0.7795) x1
Nb (0.1985, 0.3940, 0.4003) x1
Nb (0.4058, 0.7917, 0.7970) x1
Nb (0.5997, 0.1942, 0.1926) x1
Nb (0.8034, 0.5897, 0.5961) x1
S (0.0360, 0.6512, 0.9103) x1
S (0.1042, 0.9503, 0.6916) x1
S (0.2342, 0.0418, 0.2971) x1
S (0.3032, 0.3560, 0.0937) x1
S (0.4527, 0.4367, 0.7017) x1
S (0.5017, 0.7465, 0.4948) x1
S (0.6345, 0.8427, 0.0996) x1
S (0.7026, 0.1532, 0.8899) x1
S (0.8197, 0.2228, 0.4871) x1
S (0.9038, 0.5506, 0.2960) x1

Formation enthalpy at 0 K (meV per atom): -1249

=====

# 9
VASP calculation (r²SCAN) on an optimized crystal structure of NbS2.

a b c (Å): 3.3979 3.3979 18.9538
angles (deg): 90.00 90.00 120.00
Space group R-3m (No. 166, hexagonal axes)
One atom of each set of equivalent atoms:
Nb (0.0000, 0.0000, 0.0000) x3
S (0.0000, 0.0000, 0.2525) x6

Formation enthalpy at 0 K (meV per atom): -1113

=====

# 10
VASP calculation (r²SCAN) on an optimized crystal structure of NbS2.

a b c (Å): 3.3688 3.3688 12.6247
angles (deg): 90.00 90.00 120.00
Space group P6_3/mmc (No. 194)
One atom of each set of equivalent atoms:
Nb (0.0000, 0.0000, 0.2500) x2
S (0.3333, 0.6667, 0.1262) x4

Formation enthalpy at 0 K (meV per atom): -1157

=====

# 11
VASP calculation (r²SCAN) on an optimized crystal structure of NbS2.

a b c (Å): 3.3717 3.3717 14.8145
angles (deg): 90.00 90.00 120.00
Space group P-6m2 (No. 187)
One atom of each set of equivalent atoms:
Nb (0.0000, 0.0000, 0.0000) x1
S (0.3333, 0.6667, 0.1054) x2

Formation enthalpy at 0 K (meV per atom): -1138

=====

# 12
VASP calculation (r²SCAN) on an optimized crystal structure of NbS3.

a b c (Å): 5.0356 6.8039 9.4310
angles (deg): 90.21 96.99 90.00
Space group P-1 (No. 2)
One atom of each set of equivalent atoms:
Nb (0.2151, 0.0965, 0.3479) x2
Nb (0.2175, 0.6491, 0.3568) x2
S (0.0196, 0.6242, 0.8059) x2
S (0.0263, 0.1338, 0.8329) x2
S (0.2597, 0.3662, 0.5425) x2
S (0.2643, 0.8858, 0.5618) x2
S (0.3715, 0.8667, 0.1654) x2
S (0.3776, 0.3753, 0.1926) x2

Formation enthalpy at 0 K (meV per atom): -885

=====

# 13
VASP calculation (r²SCAN) on an optimized crystal structure of NbS2.

a b c (Å): 3.3718 22.9167 5.8387
angles (deg): 90.00 90.00 90.00
Space group Fmm2 (No. 42)
One atom of each set of equivalent atoms:
Nb (0.0000, 0.0000, 0.0000) x4
S (0.0000, 0.0682, 0.6667) x8

Formation enthalpy at 0 K (meV per atom): -1138

=====

# 14
VASP calculation (r²SCAN) on an optimized crystal structure of NbS2.

a b c (Å): 3.4032 3.4032 6.2020
angles (deg): 90.00 90.00 120.00
Space group P-3m1 (No. 164)
One atom of each set of equivalent atoms:
Nb (0.0000, 0.0000, 0.0000) x1
S (0.3333, 0.6667, 0.2465) x2

Formation enthalpy at 0 K (meV per atom): -1114

=====

# 15
VASP calculation (r²SCAN) on an optimized crystal structure of NbS3.

a b c (Å): 9.7984 3.3784 15.0810
angles (deg): 90.00 108.45 90.00
Space group P2_1/m (No. 11)
One atom of each set of equivalent atoms:
Nb (0.0239, 0.2500, 0.3831) x2
Nb (0.3421, 0.2500, 0.0405) x2
Nb (0.3900, 0.2500, 0.7057) x2
S (0.0693, 0.7500, 0.2705) x2
S (0.1254, 0.2500, 0.5649) x2
S (0.1665, 0.7500, 0.0673) x2
S (0.1757, 0.7500, 0.9332) x2
S (0.2247, 0.7500, 0.4011) x2
S (0.2253, 0.7500, 0.7468) x2
S (0.4112, 0.2500, 0.2210) x2
S (0.4115, 0.7500, 0.5907) x2
S (0.4593, 0.2500, 0.9064) x2

Formation enthalpy at 0 K (meV per atom): -897

=====

# 16
VASP calculation (r²SCAN) on an optimized crystal structure of NbS2.

a b c (Å): 3.3695 3.3695 19.0725
angles (deg): 90.00 90.00 120.00
Space group R3m (No. 160, hexagonal axes)
One atom of each set of equivalent atoms:
Nb (0.0000, 0.0000, 0.0000) x3
S (0.0000, 0.0000, 0.2514) x3
S (0.0000, 0.0000, 0.4154) x3

Formation enthalpy at 0 K (meV per atom): -1155

=====

# 17
VASP calculation (r²SCAN) on an optimized crystal structure of NbS2.

a b c (Å): 5.8865 3.4072 13.9848
angles (deg): 90.00 90.04 90.00
Space group C2/m (No. 12)
One atom of each set of equivalent atoms:
Nb (0.0000, 0.0000, 0.0000) x2
Nb (0.0000, 0.0000, 0.5000) x2
S (0.1662, 0.5000, 0.1093) x4
S (0.1658, 0.5000, 0.3907) x4

Formation enthalpy at 0 K (meV per atom): -1099

=====

# 18
VASP calculation (r²SCAN) on an optimized crystal structure of NbS2.

a b c (Å): 3.3726 5.8390 22.0712
angles (deg): 90.00 93.15 90.00
Space group C2 (No. 5)
One atom of each set of equivalent atoms:
Nb (0.0000, 0.0000, 0.0000) x2
S (0.0255, 0.3335, 0.0709) x4

Formation enthalpy at 0 K (meV per atom): -1138

=====

# 19
VASP calculation (r²SCAN) on an optimized crystal structure of NbS2.

a b c (Å): 3.3717 5.8402 37.7064
angles (deg): 90.00 90.00 90.00
Space group Cmc2_1 (No. 36)
One atom of each set of equivalent atoms:
Nb (0.0000, 0.0936, 0.0000) x4
Nb (0.0000, 0.2416, 0.6687) x4
S (0.0000, 0.0918, 0.1273) x4
S (0.0000, 0.0919, 0.2101) x4
S (0.0000, 0.4269, 0.0414) x4
S (0.0000, 0.4269, 0.9586) x4

Formation enthalpy at 0 K (meV per atom): -1147

=====

# 20
VASP calculation (r²SCAN) on an optimized crystal structure of Nb3S5.

a b c (Å): 7.9271 8.9286 9.2659
angles (deg): 93.96 94.76 113.51
Space group P1 (No. 1)
One atom of each set of equivalent atoms:
Nb (0.0000, 0.0000, 0.0000) x1
Nb (0.0325, 0.8970, 0.5029) x1
Nb (0.1433, 0.3092, 0.6030) x1
Nb (0.2345, 0.7058, 0.7024) x1
Nb (0.3412, 0.1048, 0.8011) x1
Nb (0.4364, 0.5035, 0.8949) x1
Nb (0.5460, 0.9090, 0.0019) x1
Nb (0.5926, 0.3945, 0.5972) x1
Nb (0.6399, 0.3040, 0.1066) x1
Nb (0.7413, 0.7072, 0.2003) x1
Nb (0.8407, 0.1038, 0.2997) x1
Nb (0.9362, 0.5042, 0.4034) x1
S (0.0063, 0.0545, 0.7328) x1
S (0.0462, 0.9534, 0.2486) x1
S (0.1079, 0.4532, 0.8305) x1
S (0.1335, 0.3576, 0.3418) x1
S (0.2099, 0.8550, 0.9333) x1
S (0.2306, 0.7529, 0.4428) x1
S (0.3053, 0.2542, 0.0306) x1
S (0.3261, 0.1425, 0.5349) x1
S (0.4137, 0.6574, 0.1257) x1
S (0.4318, 0.5675, 0.6344) x1
S (0.5106, 0.0509, 0.2309) x1
S (0.5331, 0.9552, 0.7400) x1
S (0.6035, 0.4535, 0.3317) x1
S (0.6423, 0.3549, 0.8484) x1
S (0.7055, 0.8526, 0.4262) x1
S (0.7328, 0.7476, 0.9315) x1
S (0.8066, 0.2516, 0.5299) x1
S (0.8394, 0.1710, 0.0401) x1
S (0.9002, 0.6497, 0.6340) x1
S (0.9347, 0.5560, 0.1443) x1

Formation enthalpy at 0 K (meV per atom): -1249

=====

# 21
VASP calculation (r²SCAN) on an optimized crystal structure of NbS2.

a b c (Å): 3.3724 3.3724 17.4219
angles (deg): 90.00 90.00 120.00
Space group P6_3/mmc (No. 194)
One atom of each set of equivalent atoms:
Nb (0.3333, 0.6667, 0.2500) x2
S (0.0000, 0.0000, 0.1604) x4

Formation enthalpy at 0 K (meV per atom): -1139